(1)
Compound: Li6Mn3NiP6O24
Source: the Materials Project database
Functional: PBE with a Hubbard U
Structure: relaxed

POSCAR file:
```
Li6Mn3NiP6O24
1.0
8.4981 0.0000 0.0000
4.0196 7.5009 0.0000
3.9861 2.4930 7.1755
P Ni O Li Mn
6 1 24 6 3
direct
0.4514 0.7473 0.0339 P
0.7493 0.0380 0.4597 P
0.0355 0.4681 0.7551 P
0.5555 0.2491 0.9413 P
0.2542 0.9531 0.5429 P
0.9493 0.5488 0.2533 P
0.1450 0.1469 0.1471 Ni
0.0204 0.6278 0.8061 O
0.7598 0.5677 0.4165 O
0.1135 0.5092 0.3127 O
0.9469 0.7372 0.0870 O
0.1953 0.9714 0.3906 O
0.6870 0.8780 0.4947 O
0.6229 0.7843 0.0005 O
0.8629 0.5155 0.7051 O
0.4186 0.7559 0.5611 O
0.7481 0.0894 0.9198 O
0.2271 0.4385 0.6010 O
0.0423 0.2778 0.9190 O
0.4269 0.5864 0.2301 O
0.4680 0.6965 0.8730 O
0.2639 0.9130 0.0526 O
0.9672 0.3912 0.2009 O
0.3126 0.1172 0.5035 O
0.5309 0.3041 0.0982 O
0.5914 0.2368 0.4304 O
0.9108 0.0502 0.2718 O
0.5571 0.4228 0.7537 O
0.1103 0.9268 0.7397 O
0.3931 0.1965 0.9671 O
0.7999 0.0074 0.6220 O
0.2486 0.6525 0.8525 Li
0.5229 0.4980 0.4944 Li
0.3339 0.1654 0.7799 Li
0.9869 0.0045 0.9996 Li
0.1546 0.7774 0.3401 Li
0.7798 0.3391 0.1479 Li
0.8559 0.8614 0.8591 Mn
0.3592 0.3524 0.3491 Mn
0.6408 0.6455 0.6378 Mn
```

Computed properties:
VASP energy   -0.497 Ry per atom
Formation energy from the elements   -2.46 eV per atom
Calculated volume   457.4 Å³/cell
Total magnetic moment   12.997 μB per formula unit

(2)
Compound: MgCr3S6O24
Source: the Materials Project database
Functional: PBE with a Hubbard U
Structure: relaxed

POSCAR file:
```
MgCr3S6O24
1.0
7.8330 -4.1666 0.0000
7.8330 4.1666 0.0000
5.6167 0.0000 6.8679
O S Cr Mg
24 6 3 1
direct
0.3227 0.0185 0.9523 O
0.6186 0.3703 0.2394 O
0.7189 0.6473 0.0273 O
0.8920 0.7028 0.4825 O
0.4825 0.8920 0.7028 O
0.7648 0.3888 0.6133 O
0.2867 0.3404 0.9783 O
0.2394 0.6186 0.3703 O
0.0545 0.6663 0.9868 O
0.6663 0.9868 0.0545 O
0.0185 0.9523 0.3227 O
0.9868 0.0545 0.6663 O
0.3888 0.6133 0.7648 O
0.7028 0.4825 0.8920 O
0.9783 0.2867 0.3404 O
0.5046 0.1076 0.3110 O
0.3110 0.5046 0.1076 O
0.0273 0.7189 0.6473 O
0.6473 0.0273 0.7189 O
0.3703 0.2394 0.6186 O
0.1076 0.3110 0.5046 O
0.9523 0.3227 0.0185 O
0.3404 0.9783 0.2867 O
0.6133 0.7648 0.3888 O
0.4608 0.0432 0.7473 S
0.0432 0.7473 0.4608 S
0.5328 0.9616 0.2552 S
0.7473 0.4608 0.0432 S
0.9616 0.2552 0.5328 S
0.2552 0.5328 0.9616 S
0.3561 0.3561 0.3561 Cr
0.1500 0.1500 0.1500 Cr
0.6448 0.6448 0.6448 Cr
0.8526 0.8526 0.8526 Mg
```

Computed properties:
VASP energy   -0.477 Ry per atom
Formation energy from the elements   -2.03 eV per atom
Relative energy among the computed polymorphs   3 meV/atom
Calculated volume   448.3 Å³/cell
Total magnetic moment   7.997 μB per formula unit

(3)
Compound: Sr3DyMn2O8
Source: the Materials Project database
Functional: PBE with a Hubbard U
Structure: relaxed

POSCAR file:
```
Sr3DyMn2O8
1.0
0.8950 4.2634 -5.1106
-2.8476 -6.0742 0.2999
-4.8821 2.3431 1.0997
Mn O Sr Dy
2 8 3 1
direct
0.0003 0.9997 0.0000 Mn
0.5001 0.4999 0.5000 Mn
0.6593 0.3407 0.5000 O
0.3221 0.6779 0.5000 O
0.1610 0.8390 0.0000 O
0.8429 0.1571 0.0000 O
0.7625 0.7499 0.7388 O
0.2501 0.2375 0.7388 O
0.7625 0.7499 0.2612 O
0.2501 0.2375 0.2612 O
0.3564 0.6436 0.0000 Sr
0.8542 0.1458 0.5000 Sr
0.6447 0.3553 0.0000 Sr
0.1337 0.8663 0.5000 Dy
```

Computed properties:
VASP energy   -0.519 Ry per atom
Formation energy from the elements   -2.87 eV per atom
Calculated volume   186.2 Å³/cell
Total magnetic moment   7.003 μB per formula unit

- Which formula does entry 3 have?
  Sr3DyMn2O8

- What is the formation energy from the elements in the second record?
  -2.03 eV per atom